Density functional theory data (PBE) for Sr3SbAs after structural relaxation.

POSCAR file:
```
Sr3SbAs
1.0
6.110 0.000 0.000
0.000 6.110 0.000
0.000 0.000 6.110
Sr As Sb
3 1 1
Direct
0.500 0.500 0.000 Sr
0.500 0.000 0.500 Sr
0.000 0.500 0.500 Sr
0.000 0.000 0.000 As
0.500 0.500 0.500 Sb
```

Results
energy relative to the lowest polymorph listed for this composition: 435.6 meV/atom
space group: Pm-3m, No. 221
ρ: 3.3 g/cm3

=====

Density functional theory data (PBE) for TePtPb after structural relaxation.

POSCAR file:
```
TePtPb
1.0
6.743 0.000 0.000
0.000 6.743 0.000
0.000 0.000 6.743
Pb Te Pt
4 4 4
Direct
0.630 0.630 0.630 Pb
0.870 0.370 0.130 Pb
0.130 0.870 0.370 Pb
0.370 0.130 0.870 Pb
0.370 0.370 0.370 Te
0.630 0.870 0.130 Te
0.870 0.130 0.630 Te
0.130 0.630 0.870 Te
0.509 0.009 0.491 Pt
0.491 0.509 0.009 Pt
0.991 0.991 0.991 Pt
0.009 0.491 0.509 Pt
```

Results
VASP energy: -4.65 eV per atom
space group: P2_13, No. 198
ρ: 11.5 g/cm3